Entry 1:
Entry from the Materials Project database: a relaxed Be13Mo crystal (PBE).

Values from the calculation:
- calculated formation energy (eV per atom) = 0.915

a b c (Å): 13.735 13.735 13.735
angles (deg): 90.00 90.00 90.00
Space group Fd-3m (No. 227, origin choice 2)
Asymmetric unit:
Be 0.008 0.008 0.116 x96
Be 0.021 0.021 0.345 x96
Be 0.125 0.125 0.125 x8
Be 0.125 0.125 0.625 x8
Mo 0.000 0.000 0.500 x16

Entry 2:
Entry from the Materials Project database: a relaxed Be12Mo crystal (PBE).

Values from the calculation:
- calculated formation energy (eV per atom) = -0.128

a b c (Å): 7.221 7.221 4.197
angles (deg): 90.00 90.00 90.00
Space group I4/mmm (No. 139)
Asymmetric unit:
Be 0.000 0.211 0.000 x8
Be 0.000 0.351 0.500 x8
Be 0.250 0.250 0.250 x8
Mo 0.000 0.000 0.500 x2

Entry 3:
Entry from the Materials Project database: a relaxed Be13Mo crystal (PBE).

Values from the calculation:
- calculated formation energy (eV per atom) = 0.821

a b c (Å): 13.608 13.608 13.608
angles (deg): 90.00 90.00 90.00
Space group Fd-3m (No. 227, origin choice 2)
Asymmetric unit:
Be 0.007 0.007 0.122 x96
Be 0.073 0.073 0.376 x96
Be 0.125 0.125 0.125 x8
Be 0.125 0.125 0.625 x8
Mo 0.000 0.000 0.500 x16

Entry 4:
Entry from the Materials Project database: a relaxed TaBe4Mo crystal (PBE).

Values from the calculation:
- calculated formation energy (eV per atom) = -0.264

a b c (Å): 4.5457 4.5457 7.4011
angles (deg): 90.00 90.00 120.00
Space group P-3m1 (No. 164)
Asymmetric unit:
Ta 0.3333 0.6667 0.4287 x2
Be 0.0000 0.0000 0.0000 x1
Be 0.0000 0.0000 0.5000 x1
Be 0.1709 0.3418 0.7532 x6
Mo 0.3333 0.6667 0.0609 x2

Entry 5:
Entry from the Materials Project database: a relaxed BePNO4 crystal (PBE).

Values from the calculation:
- calculated formation energy (eV per atom) = -1.434

a b c (Å): 8.769 8.634 5.048
angles (deg): 90.00 90.00 90.00
Space group Pna2_1 (No. 33)
Asymmetric unit:
Be 0.177 0.096 0.000 x4
P 0.180 0.916 0.500 x4
N 0.003 0.316 0.512 x4
O 0.007 0.888 0.512 x4
O 0.221 0.043 0.701 x4
O 0.224 0.967 0.218 x4
O 0.242 0.265 0.073 x4

Entry 6:
Entry from the Materials Project database: a relaxed Na3Be crystal (PBE).

Values from the calculation:
- calculated formation energy (eV per atom) = 0.517

a b c (Å): 4.669 4.669 9.473
angles (deg): 90.00 90.00 90.00
Space group I4/mmm (No. 139)
Asymmetric unit:
Na 0.000 0.000 0.000 x2
Na 0.000 0.500 0.250 x4
Be 0.000 0.000 0.500 x2

Entry 7:
Entry from the Materials Project database: a relaxed Na3Be crystal (PBE).

Values from the calculation:
- calculated formation energy (eV per atom) = 0.511

a b c (Å): 5.254 5.254 7.480
angles (deg): 90.00 90.00 90.00
Space group I4/mmm (No. 139)
Asymmetric unit:
Na 0.000 0.000 0.000 x2
Na 0.000 0.500 0.250 x4
Be 0.000 0.000 0.500 x2

Entry 8:
Entry from the Materials Project database: a relaxed NaBePO4 crystal (PBE).

Values from the calculation:
- calculated formation energy (eV per atom) = -2.865

a b c (Å): 8.230 7.898 16.536
angles (deg): 90.00 119.76 90.00
Space group P2_1/c (No. 14)
Asymmetric unit:
Na 0.002 0.000 0.249 x4
Na 0.297 0.032 0.069 x4
Na 0.357 0.028 0.588 x4
Be 0.017 0.169 0.419 x4
Be 0.320 0.169 0.241 x4
Be 0.341 0.668 0.409 x4
P 0.024 0.709 0.919 x4
P 0.318 0.713 0.738 x4
P 0.340 0.210 0.909 x4
O 0.069 0.248 0.521 x4
O 0.099 0.525 0.935 x4
O 0.120 0.232 0.686 x4
O 0.129 0.225 0.877 x4
O 0.192 0.669 0.448 x4
O 0.208 0.667 0.154 x4
O 0.251 0.733 0.810 x4
O 0.279 0.528 0.702 x4
O 0.382 0.027 0.891 x4
O 0.393 0.167 0.352 x4
O 0.456 0.247 0.514 x4
O 0.469 0.249 0.213 x4